Entry 1:
DFT (GGA-PBE) results for crystalline Ti2Cu at its relaxed geometry.

Cell and atoms, written as extended XYZ:
```
24
Lattice="0.000 5.727 5.727 5.727 0.000 5.727 5.727 5.727 0.000" Properties=species:S:1:pos:R:3 pbc="T T T"
Ti 0.000 0.000 0.000
Ti 2.863 2.863 0.000
Ti 2.863 0.000 2.863
Ti 4.295 4.295 2.192
Ti 4.295 2.192 4.295
Ti 6.399 4.295 4.295
Ti 7.158 7.158 5.055
Ti 7.158 5.055 7.158
Ti 9.262 7.158 7.158
Ti 0.000 2.863 2.863
Ti 2.192 4.295 4.295
Ti 4.295 6.399 4.295
Ti 4.295 4.295 6.399
Ti 5.055 7.158 7.158
Ti 7.158 9.262 7.158
Ti 7.158 7.158 9.262
Cu 9.039 5.277 5.277
Cu 2.414 2.414 2.414
Cu 6.176 6.176 2.414
Cu 6.176 2.414 6.176
Cu 5.277 9.039 5.277
Cu 5.277 5.277 9.039
Cu 9.039 9.039 9.039
Cu 2.414 6.176 6.176
```

Values from the calculation:
Calculated formation energy: -0.0251 eV per atom
Magnetic moment: 7.3 μB per cell


Entry 2:
DFT (GGA-PBE) results for crystalline TiCu at its relaxed geometry.

Cell and atoms, written as extended XYZ:
```
2
Lattice="3.077 0.000 0.000 0.000 3.077 0.000 0.000 0.000 3.077" Properties=species:S:1:pos:R:3 pbc="T T T"
Ti 0.000 0.000 0.000
Cu 1.539 1.539 1.539
```

Values from the calculation:
Calculated formation energy: -0.0531 eV per atom
Magnetic moment: 0.9 μB per cell


Entry 3:
DFT (GGA-PBE) results for crystalline Ti2Cu3 at its relaxed geometry.

Cell and atoms, written as extended XYZ:
```
5
Lattice="-1.568 1.568 7.038 1.568 -1.568 7.038 1.568 1.568 -7.038" Properties=species:S:1:pos:R:3 pbc="T T T"
Ti 0.000 0.000 1.476
Ti 0.000 0.000 12.599
Cu 0.000 0.000 4.152
Cu 0.000 0.000 7.038
Cu 0.000 0.000 9.923
```

Values from the calculation:
Calculated formation energy: -0.0743 eV per atom


Entry 4:
DFT (GGA-PBE) results for crystalline Ti3Cu4 at its relaxed geometry.

Cell and atoms, written as extended XYZ:
```
7
Lattice="-1.570 1.570 9.933 1.570 -1.570 9.933 1.570 1.570 -9.933" Properties=species:S:1:pos:R:3 pbc="T T T"
Ti 0.000 0.000 0.000
Ti 0.000 0.000 5.812
Ti 0.000 0.000 14.054
Cu 0.000 0.000 2.678
Cu 0.000 0.000 8.536
Cu 0.000 0.000 11.330
Cu 0.000 0.000 17.187
```

Values from the calculation:
Calculated formation energy: -0.1258 eV per atom


Entry 5:
DFT (GGA-PBE) results for crystalline TiCu at its relaxed geometry.

Cell and atoms, written as extended XYZ:
```
4
Lattice="3.117 0.000 0.000 0.000 3.117 0.000 0.000 0.000 5.913" Properties=species:S:1:pos:R:3 pbc="T T T"
Ti 0.779 0.779 0.853
Ti 2.338 2.338 5.060
Cu 0.779 0.779 3.612
Cu 2.338 2.338 2.301
```

Values from the calculation:
Calculated formation energy: -0.1358 eV per atom


Entry 6:
DFT (GGA-PBE) results for crystalline Ti2Cu3 at its relaxed geometry.

Cell and atoms, written as extended XYZ:
```
10
Lattice="3.147 0.000 0.000 0.000 3.147 0.000 0.000 0.000 13.983" Properties=species:S:1:pos:R:3 pbc="T T T"
Ti 0.787 0.787 0.846
Ti 0.787 0.787 9.026
Ti 2.360 2.360 4.957
Ti 2.360 2.360 13.137
Cu 0.787 0.787 3.577
Cu 0.787 0.787 6.364
Cu 0.787 0.787 11.688
Cu 2.360 2.360 2.295
Cu 2.360 2.360 7.618
Cu 2.360 2.360 10.405
```

Values from the calculation:
Calculated formation energy: -0.1203 eV per atom


Entry 7:
DFT (GGA-PBE) results for crystalline Ti2Cu at its relaxed geometry.

Cell and atoms, written as extended XYZ:
```
3
Lattice="-1.466 1.466 5.375 1.466 -1.466 5.375 1.466 1.466 -5.375" Properties=species:S:1:pos:R:3 pbc="T T T"
Ti 0.000 0.000 1.744
Ti 0.000 0.000 9.006
Cu 0.000 0.000 5.375
```

Values from the calculation:
Calculated formation energy: -0.1177 eV per atom


Entry 8:
DFT (GGA-PBE) results for crystalline TiCu2 at its relaxed geometry.

Cell and atoms, written as extended XYZ:
```
6
Lattice="3.993 -2.256 0.000 3.993 2.256 0.000 0.000 0.000 4.464" Properties=species:S:1:pos:R:3 pbc="T T T"
Ti 3.993 1.236 3.348
Ti 3.993 -1.236 1.116
Cu 2.618 0.969 1.116
Cu 5.368 0.969 1.116
Cu 2.618 -0.969 3.348
Cu 5.368 -0.969 3.348
```

Values from the calculation:
Calculated formation energy: -0.0999 eV per atom